# Hf2Ge | the Materials Project database | PBE | optimized geometry
# ΔE_f = -657 meV/atom
# Electronic total energy = -106.03 eV/cell
data_Hf2Ge
_cell_length_a 6.641
_cell_length_b 6.641
_cell_length_c 5.298
_cell_angle_alpha 90.00
_cell_angle_beta 90.00
_cell_angle_gamma 90.00
_symmetry_space_group_name_H-M 'I 4/m c m'
_symmetry_Int_Tables_number 140
_symmetry_space_group_name_Hall '-I 4 2c'
loop_
_atom_site_label
_atom_site_fract_x
_atom_site_fract_y
_atom_site_fract_z
Hf1 0.155 0.345 0.000
Ge1 0.000 0.000 0.250

---

# HfGe2 | the Materials Project database | PBE | optimized geometry
# ΔE_f = -472 meV/atom
# Electronic total energy = -82.48 eV/cell
data_HfGe2
_cell_length_a 3.839
_cell_length_b 14.957
_cell_length_c 3.794
_cell_angle_alpha 90.00
_cell_angle_beta 90.00
_cell_angle_gamma 90.00
_symmetry_space_group_name_H-M 'C m c m'
_symmetry_Int_Tables_number 63
_symmetry_space_group_name_Hall '-C 2c 2'
loop_
_atom_site_label
_atom_site_fract_x
_atom_site_fract_y
_atom_site_fract_z
Hf1 0.000 0.104 0.250
Ge1 0.000 0.250 0.750
Ge2 0.000 0.439 0.250

---

# Hf5Ge4 | the Materials Project database | PBE | optimized geometry
# ΔE_f = -705 meV/atom
# Electronic total energy = -298.50 eV/cell
data_Hf5Ge4
_cell_length_a 7.065
_cell_length_b 13.480
_cell_length_c 7.145
_cell_angle_alpha 90.00
_cell_angle_beta 90.00
_cell_angle_gamma 90.00
_symmetry_space_group_name_H-M 'P n m a'
_symmetry_Int_Tables_number 62
_symmetry_space_group_name_Hall '-P 2ac 2n'
loop_
_atom_site_label
_atom_site_fract_x
_atom_site_fract_y
_atom_site_fract_z
Hf1 0.016 0.095 0.176
Hf2 0.143 0.624 0.334
Hf3 0.183 0.250 0.498
Ge1 0.055 0.250 0.888
Ge2 0.177 0.750 0.647
Ge3 0.199 0.041 0.535

---

# Hf2Ge | the Materials Project database | PBE | optimized geometry
# ΔE_f = -29 meV/atom
# Electronic total energy = -98.50 eV/cell
data_Hf2Ge
_cell_length_a 7.038
_cell_length_b 7.038
_cell_length_c 5.144
_cell_angle_alpha 90.00
_cell_angle_beta 90.00
_cell_angle_gamma 90.00
_symmetry_space_group_name_H-M 'I 4/m c m'
_symmetry_Int_Tables_number 140
_symmetry_space_group_name_Hall '-I 4 2c'
loop_
_atom_site_label
_atom_site_fract_x
_atom_site_fract_y
_atom_site_fract_z
Hf1 0.149 0.351 0.000
Ge1 0.000 0.000 0.000

---

Please write out number 4 again, unchanged.
# Hf2Ge | the Materials Project database | PBE | optimized geometry
# ΔE_f = -29 meV/atom
# Electronic total energy = -98.50 eV/cell
data_Hf2Ge
_cell_length_a 7.038
_cell_length_b 7.038
_cell_length_c 5.144
_cell_angle_alpha 90.00
_cell_angle_beta 90.00
_cell_angle_gamma 90.00
_symmetry_space_group_name_H-M 'I 4/m c m'
_symmetry_Int_Tables_number 140
_symmetry_space_group_name_Hall '-I 4 2c'
loop_
_atom_site_label
_atom_site_fract_x
_atom_site_fract_y
_atom_site_fract_z
Hf1 0.149 0.351 0.000
Ge1 0.000 0.000 0.000

---

Q: Which formula does entry 3 have?
A: Hf5Ge4

---

Q: The highest electronic total energy belongs to which entry?
A: HfGe2

---

Q: Which of these has the lowest electronic total energy?
A: Hf5Ge4